Density functional theory data (r2SCAN) for crystalline Ce2SeN2 at its relaxed geometry.

Calculated values
M_tot	0.00	Bohr magnetons per cell
E_form	-1929	meV/atom

a = 3.9286 Å, b = 3.9286 Å, c = 6.9825 Å
α = 90.00°, β = 90.00°, γ = 120.00°
Last column: nearest neighbours and their distance in Å.
Fractional positions:
N: 0.6667 0.3333 0.3757  4 Ce 2.29-2.33
N: 0.3333 0.6667 0.6243  4 Ce 2.29-2.33
Ce: 0.3333 0.6667 0.2969  4 N 2.29-2.33
Ce: 0.6667 0.3333 0.7031  4 N 2.29-2.33
Se: 0.0000 0.0000 0.0000  6 Ce 3.07

***

Density functional theory data (r2SCAN) for crystalline Sb2Cl5F4 at its relaxed geometry.

Calculated values
M_tot	0.00	Bohr magnetons per cell
E_form	-1544	meV/atom

a = 11.2076 Å, b = 11.2076 Å, c = 18.5206 Å
α = 84.19°, β = 84.19°, γ = 68.03°
Last column: nearest neighbours and their distance in Å.
Fractional positions:
F: 0.8230 0.1770 0.7500  2 Sb 2.08
F: 0.3632 0.8228 0.3290  1 Sb 1.94
F: 0.6729 0.3086 0.9873  1 Sb 1.89
F: 0.2121 0.5626 0.9572  2 Sb 2.06-2.09
F: 0.3854 0.4259 0.4152  1 Sb 1.91
F: 0.5373 0.4627 0.2500  2 Sb 2.12
F: 0.4228 0.7176 0.2120  1 Sb 1.94
F: 0.4374 0.7879 0.5428  2 Sb 2.06-2.09
F: 0.5710 0.6150 0.4498  1 Sb 1.98
F: 0.3584 0.6133 0.6214  2 Sb 2.06-2.12
F: 0.6416 0.3867 0.3786  2 Sb 2.06-2.12
F: 0.3867 0.6416 0.8786  2 Sb 2.06-2.12
F: 0.5741 0.6146 0.0848  1 Sb 1.91
F: 0.2824 0.5772 0.2880  1 Sb 1.94
F: 0.6368 0.1772 0.6710  1 Sb 1.94
F: 0.3271 0.6914 0.0127  1 Sb 1.89
F: 0.5626 0.2121 0.4572  2 Sb 2.06-2.09
F: 0.4259 0.3854 0.9152  1 Sb 1.91
F: 0.6146 0.5741 0.5848  1 Sb 1.91
F: 0.4627 0.5373 0.7500  2 Sb 2.12
F: 0.3086 0.6729 0.4873  1 Sb 1.89
F: 0.8228 0.3632 0.8290  1 Sb 1.94
F: 0.6914 0.3271 0.5127  1 Sb 1.89
F: 0.7879 0.4374 0.0428  2 Sb 2.06-2.09
F: 0.1770 0.8230 0.2500  2 Sb 2.08
F: 0.3850 0.4290 0.0502  1 Sb 1.98
F: 0.6150 0.5710 0.9498  1 Sb 1.98
F: 0.6133 0.3584 0.1214  2 Sb 2.06-2.12
F: 0.7176 0.4228 0.7120  1 Sb 1.94
F: 0.1772 0.6368 0.1710  1 Sb 1.94
F: 0.4290 0.3850 0.5502  1 Sb 1.98
F: 0.5772 0.2824 0.7880  1 Sb 1.94
Cl: 0.0822 0.1745 0.7779  1 Sb 2.31
Cl: 0.7385 0.0706 0.0945  1 Sb 2.30
Cl: 0.3859 0.3053 0.2082  1 Sb 2.32
Cl: 0.9178 0.8255 0.2221  1 Sb 2.31
Cl: 0.1195 0.7460 0.8311  1 Sb 2.31
Cl: 0.8213 0.0346 0.5111  1 Sb 2.29
Cl: 0.0346 0.8213 0.0111  1 Sb 2.29
Cl: 0.8115 0.6675 0.1064  1 Sb 2.31
Cl: 0.5995 0.8711 0.4260  1 Sb 2.31
Cl: 0.8255 0.9178 0.7221  1 Sb 2.31
Cl: 0.1289 0.4005 0.0740  1 Sb 2.31
Cl: 0.8805 0.2540 0.1689  1 Sb 2.31
Cl: 0.8451 0.5820 0.4816  1 Sb 2.29
Cl: 0.1885 0.3325 0.8936  1 Sb 2.31
Cl: 0.4005 0.1289 0.5740  1 Sb 2.31
Cl: 0.1549 0.4180 0.5184  1 Sb 2.29
Cl: 0.6675 0.8115 0.6064  1 Sb 2.31
Cl: 0.6141 0.6947 0.7918  1 Sb 2.32
Cl: 0.8711 0.5995 0.9260  1 Sb 2.31
Cl: 0.3053 0.3859 0.7082  1 Sb 2.32
Cl: 0.5820 0.8451 0.9816  1 Sb 2.29
Cl: 0.1787 0.9654 0.4889  1 Sb 2.29
Cl: 0.4981 0.0462 0.7848  1 Sb 2.31
Cl: 0.5019 0.9538 0.2152  1 Sb 2.31
Cl: 0.9294 0.2615 0.4055  1 Sb 2.30
Cl: 0.2540 0.8805 0.6689  1 Sb 2.31
Cl: 0.4180 0.1549 0.0184  1 Sb 2.29
Cl: 0.9538 0.5019 0.7152  1 Sb 2.31
Cl: 0.2615 0.9294 0.9055  1 Sb 2.30
Cl: 0.0594 0.7378 0.3867  1 Sb 2.30
Cl: 0.3325 0.1885 0.3936  1 Sb 2.31
Cl: 0.9406 0.2622 0.6133  1 Sb 2.30
Cl: 0.6947 0.6141 0.2918  1 Sb 2.32
Cl: 0.0462 0.4981 0.2848  1 Sb 2.31
Cl: 0.9654 0.1787 0.9889  1 Sb 2.29
Cl: 0.2622 0.9406 0.1133  1 Sb 2.30
Cl: 0.0706 0.7385 0.5945  1 Sb 2.30
Cl: 0.1745 0.0822 0.2779  1 Sb 2.31
Cl: 0.7378 0.0594 0.8867  1 Sb 2.30
Cl: 0.7460 0.1195 0.3311  1 Sb 2.31
Sb: 0.2174 0.7446 0.9351  3 F 1.89-2.06
Sb: 0.4848 0.4283 0.6589  3 F 2.12-2.31, 1 Cl 2.32
Sb: 0.1036 0.6767 0.2688  3 F 1.94-2.08
Sb: 0.5152 0.5717 0.3411  3 F 2.12-2.31, 1 Cl 2.32
Sb: 0.7446 0.2174 0.4351  3 F 1.89-2.06
Sb: 0.8964 0.3233 0.7312  3 F 1.94-2.08
Sb: 0.2960 0.3649 0.9851  3 F 1.91-2.09
Sb: 0.6351 0.7040 0.5149  3 F 1.91-2.09
Sb: 0.7040 0.6351 0.0149  3 F 1.91-2.09
Sb: 0.3649 0.2960 0.4851  3 F 1.91-2.09
Sb: 0.5717 0.5152 0.8411  3 F 2.12-2.31, 1 Cl 2.32
Sb: 0.2554 0.7826 0.5649  3 F 1.89-2.06
Sb: 0.7826 0.2554 0.0649  3 F 1.89-2.06
Sb: 0.3233 0.8964 0.2312  3 F 1.94-2.08
Sb: 0.6767 0.1036 0.7688  3 F 1.94-2.08
Sb: 0.4283 0.4848 0.1589  3 F 2.12-2.31, 1 Cl 2.32

***

Density functional theory data (r2SCAN) for crystalline NdAlCu at its relaxed geometry.

Calculated values
M_tot	0.00	Bohr magnetons per cell
E_form	-410	meV/atom

a = 7.2193 Å, b = 7.2193 Å, c = 4.0750 Å
α = 90.00°, β = 90.00°, γ = 120.00°
Last column: nearest neighbours and their distance in Å.
Fractional positions:
Al: 0.7744 0.7744 0.0000  4 Cu 2.61-2.88, 2 Al 2.82
Al: 0.2256 0.0000 0.0000  4 Cu 2.61-2.88, 2 Al 2.82
Al: 0.0000 0.2256 0.0000  4 Cu 2.61-2.88, 2 Al 2.82
Nd: 0.4181 0.4181 0.5000  5 Cu 2.97-3.02, 6 Al 3.28-3.32
Nd: 0.5819 0.0000 0.5000  5 Cu 2.97-3.02, 6 Al 3.28-3.32
Nd: 0.0000 0.5819 0.5000  5 Cu 2.97-3.02, 6 Al 3.28-3.32
Cu: 0.6667 0.3333 0.0000  3 Al 2.88, 6 Nd 2.97
Cu: 0.0000 0.0000 0.5000  6 Al 2.61
Cu: 0.3333 0.6667 0.0000  3 Al 2.88, 6 Nd 2.97

***

Density functional theory data (r2SCAN) for crystalline SmGe2Pt2 at its relaxed geometry.

Calculated values
M_tot	0.00	Bohr magnetons per cell
E_form	-996	meV/atom

a = 4.3399 Å, b = 4.3399 Å, c = 9.9524 Å
α = 90.00°, β = 90.00°, γ = 90.00°
Last column: nearest neighbours and their distance in Å.
Fractional positions:
Ge: 0.5000 0.5000 0.5000  4 Pt 2.50
Ge: 0.0000 0.5000 0.8695  5 Pt 2.44-2.53
Ge: 0.5000 0.0000 0.1305  5 Pt 2.44-2.53
Ge: 0.0000 0.0000 0.5000  4 Pt 2.50
Sm: 0.5000 0.0000 0.7469  8 Ge 3.28-3.30, 8 Pt 3.30-3.32
Sm: 0.0000 0.5000 0.2531  8 Ge 3.28-3.30, 8 Pt 3.30-3.32
Pt: 0.5000 0.5000 0.0000  4 Ge 2.53
Pt: 0.5000 0.0000 0.3760  5 Ge 2.44-2.50
Pt: 0.0000 0.0000 0.0000  4 Ge 2.53
Pt: 0.0000 0.5000 0.6240  5 Ge 2.44-2.50

***

Density functional theory data (r2SCAN) for crystalline LaCoSi3 at its relaxed geometry.

Calculated values
M_tot	0.00	Bohr magnetons per cell
E_form	-627	meV/atom

a = 5.6487 Å, b = 5.6487 Å, c = 5.6487 Å
α = 136.74°, β = 136.74°, γ = 62.84°
Last column: nearest neighbours and their distance in Å.
Fractional positions:
Si: 0.7614 0.2614 0.5000  2 Co 2.29
Si: 0.2614 0.7614 0.5000  2 Co 2.29
Si: 0.4253 0.4253 0.0000  1 Co 2.28
La: 0.0050 0.0050 0.0000  12 Si 3.04-3.23, 5 Co 3.31
Co: 0.6619 0.6619 0.0000  5 Si 2.28-2.29

***

Density functional theory data (r2SCAN) for crystalline SrZnSi at its relaxed geometry.

Calculated values
M_tot	0.00	Bohr magnetons per cell
E_form	-503	meV/atom

a = 4.2801 Å, b = 4.2801 Å, c = 9.0121 Å
α = 90.00°, β = 90.00°, γ = 120.00°
Last column: nearest neighbours and their distance in Å.
Fractional positions:
Zn: 0.6667 0.3333 0.7500  3 Si 2.47
Zn: 0.3333 0.6667 0.2500  3 Si 2.47
Si: 0.3333 0.6667 0.7500  3 Zn 2.47
Si: 0.6667 0.3333 0.2500  3 Zn 2.47
Sr: 0.0000 0.0000 0.5000  6 Zn 3.34, 6 Si 3.34
Sr: 0.0000 0.0000 0.0000  6 Si 3.34, 6 Zn 3.34

***

Density functional theory data (r2SCAN) for crystalline DyGe2Rh2 at its relaxed geometry.

Calculated values
M_tot	0.00	Bohr magnetons per cell
E_form	-961	meV/atom

a = 5.9088 Å, b = 5.9088 Å, c = 5.9088 Å
α = 139.36°, β = 139.36°, γ = 58.82°
Last column: nearest neighbours and their distance in Å.
Fractional positions:
Rh: 0.2500 0.7500 0.5000  4 Ge 2.44
Rh: 0.7500 0.2500 0.5000  4 Ge 2.44
Dy: 0.0000 0.0000 0.0000  8 Ge 3.16, 8 Rh 3.29
Ge: 0.3786 0.3786 0.0000  4 Rh 2.44, 1 Ge 2.50
Ge: 0.6214 0.6214 0.0000  4 Rh 2.44, 1 Ge 2.50

***

Density functional theory data (r2SCAN) for crystalline Mg3Au at its relaxed geometry.

Calculated values
polymorph energy (0 for the lowest one)	16	meV/atom
M_tot	0.00	Bohr magnetons per cell
E_form	-413	meV/atom

a = 4.6634 Å, b = 4.6634 Å, c = 8.4769 Å
α = 90.00°, β = 90.00°, γ = 119.99°
Last column: nearest neighbours and their distance in Å.
Fractional positions:
Mg: 0.3329 0.6671 0.9226  4 Au 2.78-3.07, 7 Mg 2.93-3.07
Mg: 0.6671 0.3329 0.4226  4 Au 2.78-3.07, 7 Mg 2.93-3.07
Mg: 0.6671 0.3329 0.0774  4 Au 2.78-3.07, 7 Mg 2.93-3.07
Mg: 0.0000 0.0000 0.7500  3 Au 2.69
Mg: 0.0000 0.0000 0.2500  3 Au 2.69
Mg: 0.3329 0.6671 0.5774  4 Au 2.78-3.07, 7 Mg 2.93-3.07
Au: 0.3332 0.6668 0.2500  5 Mg 2.69-2.78
Au: 0.6668 0.3332 0.7500  5 Mg 2.69-2.78

***

Density functional theory data (r2SCAN) for crystalline BaHI at its relaxed geometry.

Calculated values
M_tot	0.00	Bohr magnetons per cell
E_form	-1401	meV/atom

a = 4.7758 Å, b = 4.7758 Å, c = 7.8002 Å
α = 90.00°, β = 90.00°, γ = 90.00°
Last column: nearest neighbours and their distance in Å.
Fractional positions:
Ba: 0.0000 0.5000 0.1731  4 H 2.74
Ba: 0.5000 0.0000 0.8269  4 H 2.74
I: 0.0000 0.5000 0.6596  4 H 3.57, 5 Ba 3.62-3.79
I: 0.5000 0.0000 0.3404  4 H 3.57, 5 Ba 3.62-3.79
H: 0.5000 0.5000 0.0000  4 Ba 2.74
H: 0.0000 0.0000 0.0000  4 Ba 2.74

***

Density functional theory data (r2SCAN) for crystalline Ba4Si3Br2 at its relaxed geometry.

Calculated values
M_tot	0.00	Bohr magnetons per cell
E_form	-1162	meV/atom

a = 8.9489 Å, b = 8.9001 Å, c = 15.2073 Å
α = 78.02°, β = 90.00°, γ = 90.00°
Last column: nearest neighbours and their distance in Å.
Fractional positions:
Br: 0.0065 0.4481 0.6348  5 Ba 3.28-3.37
Br: 0.3602 0.6339 0.5075  5 Ba 3.34-3.66, 1 Br 3.50
Br: 0.5065 0.0519 0.3652  5 Ba 3.28-3.37
Br: 0.8602 0.8661 0.4925  5 Ba 3.34-3.66, 1 Br 3.50
Br: 0.6398 0.3661 0.4925  5 Ba 3.34-3.66, 1 Br 3.50
Br: 0.1398 0.1339 0.5075  5 Ba 3.34-3.66, 1 Br 3.50
Br: 0.4935 0.9481 0.6348  5 Ba 3.28-3.37
Br: 0.9935 0.5519 0.3652  5 Ba 3.28-3.37
Ba: 0.7891 0.0210 0.9558  8 Si 3.33-3.71
Ba: 0.6777 0.6193 0.6516  3 Si 3.25-3.52, 4 Br 3.32-3.57
Ba: 0.4396 0.8716 0.8529  1 Br 3.28, 4 Si 3.51-3.62
Ba: 0.2109 0.9790 0.0442  8 Si 3.33-3.71
Ba: 0.5604 0.1284 0.1471  1 Br 3.28, 4 Si 3.51-3.62
Ba: 0.9396 0.6284 0.1471  1 Br 3.28, 4 Si 3.51-3.62
Ba: 0.3379 0.2661 0.6685  4 Br 3.29-3.66, 2 Si 3.36-3.39
Ba: 0.2891 0.4790 0.0442  8 Si 3.33-3.71
Ba: 0.8379 0.2339 0.3315  4 Br 3.29-3.66, 2 Si 3.36-3.39
Ba: 0.1621 0.7661 0.6685  4 Br 3.29-3.66, 2 Si 3.36-3.39
Ba: 0.3223 0.3807 0.3484  3 Si 3.25-3.52, 4 Br 3.32-3.57
Ba: 0.1777 0.8807 0.3484  3 Si 3.25-3.52, 4 Br 3.32-3.57
Ba: 0.0604 0.3716 0.8529  1 Br 3.28, 4 Si 3.51-3.62
Ba: 0.8223 0.1193 0.6516  3 Si 3.25-3.52, 4 Br 3.32-3.57
Ba: 0.6621 0.7339 0.3315  4 Br 3.29-3.66, 2 Si 3.36-3.39
Ba: 0.7109 0.5210 0.9558  8 Si 3.33-3.71
Si: 0.9330 0.0085 0.1857  2 Si 2.41-2.47
Si: 0.4371 0.2409 0.9116  2 Si 2.39-2.41
Si: 0.8697 0.8040 0.8013  2 Si 2.39-2.47
Si: 0.0670 0.9915 0.8143  2 Si 2.41-2.47
Si: 0.5670 0.5085 0.1857  2 Si 2.41-2.47
Si: 0.1303 0.1960 0.1987  2 Si 2.39-2.47
Si: 0.0629 0.7409 0.9116  2 Si 2.39-2.41
Si: 0.6303 0.3040 0.8013  2 Si 2.39-2.47
Si: 0.4330 0.4915 0.8143  2 Si 2.41-2.47
Si: 0.5629 0.7591 0.0884  2 Si 2.39-2.41
Si: 0.9371 0.2591 0.0884  2 Si 2.39-2.41
Si: 0.3697 0.6960 0.1987  2 Si 2.39-2.47

***

Density functional theory data (r2SCAN) for crystalline Ni3Se4 at its relaxed geometry.

Calculated values
M_tot	0.00	Bohr magnetons per cell
E_form	-359	meV/atom

a = 7.0197 Å, b = 7.0180 Å, c = 7.0273 Å
α = 120.04°, β = 89.96°, γ = 59.99°
Last column: nearest neighbours and their distance in Å.
Fractional positions:
Se: 0.2586 0.9833 0.2593  4 Ni 2.29-2.40
Se: 0.7258 0.5147 0.2573  4 Ni 2.29-2.41
Se: 0.7405 0.4853 0.7425  4 Ni 2.29-2.41
Se: 0.7418 0.0167 0.2761  4 Ni 2.29-2.40
Se: 0.2582 0.9833 0.7239  4 Ni 2.29-2.40
Se: 0.7415 0.0166 0.7406  4 Ni 2.29-2.40
Se: 0.2741 0.4853 0.7427  4 Ni 2.29-2.41
Se: 0.2595 0.5146 0.2574  4 Ni 2.29-2.41
Ni: 0.4999 0.5001 0.5000  6 Se 2.40
Ni: 0.0001 0.0000 0.5000  6 Se 2.40-2.41
Ni: 0.5000 0.4999 0.0000  6 Se 2.40
Ni: 0.8738 0.7520 0.8760  4 Se 2.29
Ni: 0.5000 0.0000 0.5000  6 Se 2.40-2.41
Ni: 0.1261 0.2480 0.1240  4 Se 2.29

***

Density functional theory data (r2SCAN) for crystalline Si5Ir3 at its relaxed geometry.

Calculated values
M_tot	0.00	Bohr magnetons per cell
E_form	-673	meV/atom

a = 6.4329 Å, b = 10.4345 Å, c = 14.2405 Å
α = 90.00°, β = 90.00°, γ = 96.98°
Last column: nearest neighbours and their distance in Å.
Fractional positions:
Ir: 0.1710 0.6035 0.4068  7 Si 2.38-2.50
Ir: 0.6035 0.3674 0.1661  6 Si 2.33-2.60
Ir: 0.2933 0.2440 0.7524  6 Si 2.35-2.49
Ir: 0.8290 0.3965 0.5932  7 Si 2.38-2.50
Ir: 0.3965 0.6326 0.8339  6 Si 2.33-2.60
Ir: 0.1035 0.8674 0.3339  6 Si 2.33-2.60
Ir: 0.8171 0.3888 0.9015  7 Si 2.40-2.53
Ir: 0.6829 0.1112 0.4015  7 Si 2.40-2.53
Ir: 0.3171 0.8888 0.5985  7 Si 2.40-2.53
Ir: 0.8965 0.1326 0.6661  6 Si 2.33-2.60
Ir: 0.3075 0.2276 0.4568  8 Si 2.43-2.67
Ir: 0.7933 0.7440 0.7476  6 Si 2.35-2.49
Ir: 0.1925 0.2724 0.9568  8 Si 2.43-2.67
Ir: 0.2391 0.0061 0.1643  6 Si 2.36-2.51
Ir: 0.3290 0.8965 0.9068  7 Si 2.38-2.50
Ir: 0.2067 0.2560 0.2524  6 Si 2.35-2.49
Ir: 0.1829 0.6112 0.0985  7 Si 2.40-2.53
Ir: 0.7609 0.9939 0.8357  6 Si 2.36-2.51
Ir: 0.6710 0.1035 0.0932  7 Si 2.38-2.50
Ir: 0.8075 0.7276 0.0432  8 Si 2.43-2.67
Ir: 0.6925 0.7724 0.5432  8 Si 2.43-2.67
Ir: 0.7067 0.7560 0.2476  6 Si 2.35-2.49
Ir: 0.7391 0.5061 0.3357  6 Si 2.36-2.51
Ir: 0.2609 0.4939 0.6643  6 Si 2.36-2.51
Si: 0.1670 0.4239 0.5104  4 Ir 2.36-2.46, 1 Si 2.54
Si: 0.3583 0.4318 0.3428  3 Ir 2.35-2.48
Si: 0.0378 0.1718 0.1093  4 Ir 2.39-2.56, 2 Si 2.53-2.65
Si: 0.0538 0.7948 0.4878  4 Ir 2.33-2.50, 2 Si 2.54-2.59
Si: 0.4569 0.4085 0.8505  4 Ir 2.36-2.57, 1 Si 2.61
Si: 0.1577 0.5084 0.9374  4 Ir 2.39-2.53, 1 Si 2.61
Si: 0.5431 0.5915 0.1495  4 Ir 2.36-2.57, 1 Si 2.61
Si: 0.5538 0.2948 0.0122  4 Ir 2.33-2.50, 2 Si 2.54-2.59
Si: 0.8371 0.1650 0.9432  4 Ir 2.36-2.44, 1 Si 2.59
Si: 0.6577 0.0084 0.5626  4 Ir 2.39-2.53, 1 Si 2.61
Si: 0.8423 0.4916 0.0626  4 Ir 2.39-2.53, 1 Si 2.61
Si: 0.6629 0.3350 0.4432  4 Ir 2.36-2.44, 1 Si 2.59
Si: 0.4462 0.7052 0.9878  4 Ir 2.33-2.50, 2 Si 2.54-2.59
Si: 0.9731 0.3557 0.7481  5 Ir 2.45-2.60, 1 Si 2.61
Si: 0.7527 0.8913 0.3868  4 Ir 2.40-2.56, 2 Si 2.53-2.68
Si: 0.9569 0.9085 0.6495  4 Ir 2.36-2.57, 1 Si 2.61
Si: 0.6670 0.9239 0.9896  4 Ir 2.36-2.46, 1 Si 2.54
Si: 0.6403 0.1929 0.7801  3 Ir 2.39-2.45, 1 Si 2.61
Si: 0.5378 0.6718 0.3907  4 Ir 2.39-2.56, 2 Si 2.53-2.65
Si: 0.5269 0.1443 0.2481  5 Ir 2.45-2.60, 1 Si 2.61
Si: 0.4622 0.3282 0.6093  4 Ir 2.39-2.56, 2 Si 2.53-2.65
Si: 0.3597 0.8071 0.2199  3 Ir 2.39-2.45, 1 Si 2.61
Si: 0.2527 0.3913 0.1132  4 Ir 2.40-2.56, 2 Si 2.53-2.68
Si: 0.8597 0.3071 0.2801  3 Ir 2.39-2.45, 1 Si 2.61
Si: 0.9462 0.2052 0.5122  4 Ir 2.33-2.50, 2 Si 2.54-2.59
Si: 0.3423 0.9916 0.4374  4 Ir 2.39-2.53, 1 Si 2.61
Si: 0.0269 0.6443 0.2519  5 Ir 2.45-2.60, 1 Si 2.61
Si: 0.0431 0.0915 0.3505  4 Ir 2.36-2.57, 1 Si 2.61
Si: 0.1629 0.8350 0.0568  4 Ir 2.36-2.44, 1 Si 2.59
Si: 0.3371 0.6650 0.5568  4 Ir 2.36-2.44, 1 Si 2.59
Si: 0.6417 0.5682 0.6572  3 Ir 2.35-2.48
Si: 0.8330 0.5761 0.4896  4 Ir 2.36-2.46, 1 Si 2.54
Si: 0.7473 0.6087 0.8868  4 Ir 2.40-2.56, 2 Si 2.53-2.68
Si: 0.3330 0.0761 0.0104  4 Ir 2.36-2.46, 1 Si 2.54
Si: 0.8583 0.9318 0.1572  3 Ir 2.35-2.48
Si: 0.4731 0.8557 0.7519  5 Ir 2.45-2.60, 1 Si 2.61
Si: 0.2473 0.1087 0.6132  4 Ir 2.40-2.56, 2 Si 2.53-2.68
Si: 0.9622 0.8282 0.8907  4 Ir 2.39-2.56, 2 Si 2.53-2.65
Si: 0.1417 0.0682 0.8428  3 Ir 2.35-2.48
Si: 0.1403 0.6929 0.7199  3 Ir 2.39-2.45, 1 Si 2.61